[1]
HoCuP2 | PBE-GGA | optimized geometry

a b c (Å): 3.7120 3.7120 9.6988
angles (deg): 90.00 90.00 90.00
Closest atoms and distances in Å follow each position.
Atoms (fractional coordinates):
Ho 0.2500 0.2500 0.2316  8 P 2.84-2.91
Ho 0.7500 0.7500 0.7684  8 P 2.84-2.91
Cu 0.2500 0.7500 0.5000  4 P 2.40, 4 Cu 2.62
Cu 0.7500 0.2500 0.5000  4 P 2.40, 4 Cu 2.62
P 0.2500 0.2500 0.6570  4 Cu 2.40
P 0.2500 0.7500 0.0000  4 P 2.62, 4 Ho 2.91
P 0.7500 0.2500 0.0000  4 P 2.62, 4 Ho 2.91
P 0.7500 0.7500 0.3430  4 Cu 2.40

Its energy is -5.7480 eV/atom. Its symmetry is P4/nmm. The crystal system is tetragonal. The formation energy comes out at -871 meV per atom. The calculation puts the theoretical density at 7.2 g cm⁻³.

***

[2]
Ho20Cu6Pb9S42 | PBE-GGA | optimized geometry

a b c (Å): 8.8166 14.3719 15.6011
angles (deg): 102.05 105.04 101.81
Closest atoms and distances in Å follow each position.
Atoms (fractional coordinates):
Ho 0.0000 0.0000 0.0000  6 S 2.64-2.81
Ho 0.0251 0.7610 0.2071  6 S 2.70-2.80
Ho 0.1299 0.0468 0.6441  6 S 2.62-2.85
Ho 0.1577 0.8352 0.8328  6 S 2.64-2.80
Ho 0.1873 0.5925 0.0391  6 S 2.71-2.75
Ho 0.2705 0.2908 0.1124  3 S 2.62-2.81
Ho 0.2961 0.8823 0.4745  6 S 2.69-2.81
Ho 0.3251 0.6635 0.6658  6 S 2.70-2.77
Ho 0.3556 0.4253 0.8754  6 S 2.71-2.77
Ho 0.4577 0.7128 0.3037  6 S 2.66-2.80
Ho 0.4872 0.4917 0.4974  6 S 2.66-2.78
Ho 0.5259 0.2584 0.7090  6 S 2.71-2.77
Ho 0.5863 0.9731 0.7956  4 S 2.63-2.93
Ho 0.6261 0.5493 0.1376  6 S 2.68-2.77
Ho 0.6597 0.3269 0.3346  6 S 2.67-2.75
Ho 0.6934 0.0945 0.5431  6 S 2.70-2.78
Ho 0.7845 0.3727 0.9731  6 S 2.69-2.83
Ho 0.8103 0.1621 0.1573  6 S 2.69-2.82
Ho 0.8587 0.9291 0.3742  6 S 2.70-2.77
Ho 0.9667 0.2134 0.8106  6 S 2.63-2.85
Cu 0.1350 0.8110 0.0351  4 S 2.29-2.37
Cu 0.2994 0.6452 0.8670  4 S 2.32-2.36
Cu 0.4672 0.4746 0.7018  4 S 2.33-2.38
Cu 0.6328 0.3075 0.5338  4 S 2.33-2.36
Cu 0.7983 0.1423 0.3677  4 S 2.33-2.37
Cu 0.9671 0.9778 0.2002  4 S 2.33-2.36
Pb 0.0674 0.3611 0.5541  5 S 2.85-3.11
Pb 0.0848 0.4628 0.2818  5 S 2.84-3.14
Pb 0.2296 0.1944 0.3828  5 S 2.88-2.99
Pb 0.3953 0.0300 0.2139  5 S 2.85-3.01
Pb 0.5628 0.8644 0.0479  5 S 2.84-3.01
Pb 0.7356 0.6992 0.8858  5 S 2.85-3.04
Pb 0.7509 0.7974 0.6151  5 S 2.83-3.15
Pb 0.9004 0.5303 0.7186  5 S 2.82-3.00
Pb 0.9153 0.6292 0.4479  5 S 2.84-3.16
S 0.0167 0.8687 0.5163  3 Ho 2.69-2.70
S 0.0348 0.6966 0.6663  2 Ho 2.70-2.72, 1 Pb 2.82
S 0.0660 0.4071 0.9173  4 Ho 2.74-2.82
S 0.0662 0.6754 0.9024  2 Cu 2.36-2.37
S 0.1154 0.1214 0.1768  1 Cu 2.36
S 0.1191 0.1587 0.9524  3 Ho 2.62-2.64
S 0.1360 0.9461 0.3261  1 Cu 2.33
S 0.1838 0.7024 0.3516  3 Ho 2.69-2.72
S 0.1998 0.5284 0.4989  2 Ho 2.70, 1 Pb 2.85
S 0.2337 0.2430 0.7470  4 Ho 2.75-2.77
S 0.2369 0.5082 0.7377  2 Cu 2.36
S 0.2851 0.9485 0.0124  1 Cu 2.29
S 0.2873 0.9861 0.7792  3 Ho 2.62-2.64
S 0.3008 0.7754 0.1598  1 Cu 2.33
S 0.3454 0.5259 0.1797  3 Ho 2.70-2.77
S 0.3636 0.3595 0.3226  2 Ho 2.71-2.77, 1 Pb 2.88
S 0.4000 0.3381 0.5696  2 Cu 2.36-2.38
S 0.4041 0.0748 0.5847  4 Ho 2.74-2.79
S 0.4502 0.8311 0.6253  3 Ho 2.71-2.78, 1 Pb 2.83
S 0.4517 0.7882 0.8442  1 Cu 2.36
S 0.4664 0.6122 0.9920  1 Cu 2.32
S 0.5063 0.3658 0.0224  4 Ho 2.68-2.95
S 0.5231 0.2014 0.1633  3 Ho 2.70-2.81, 1 Pb 2.85
S 0.5658 0.1711 0.4038  2 Cu 2.35
S 0.5742 0.9058 0.4204  4 Ho 2.76-2.80
S 0.5988 0.6481 0.4433  2 Ho 2.66, 2 Pb 2.84-2.85
S 0.6160 0.6149 0.6771  1 Cu 2.33
S 0.6341 0.4416 0.8293  1 Cu 2.35
S 0.6810 0.1901 0.8472  4 Ho 2.69-2.93
S 0.7002 0.0270 0.9892  3 Ho 2.71-2.80, 1 Pb 2.84
S 0.7327 0.0090 0.2335  2 Cu 2.36-2.37
S 0.7391 0.7409 0.2531  4 Ho 2.77
S 0.7684 0.4817 0.2762  2 Ho 2.67-2.68, 2 Pb 2.84
S 0.7826 0.4495 0.5122  1 Cu 2.33
S 0.8033 0.2783 0.6609  1 Cu 2.33
S 0.8436 0.0320 0.6887  3 Ho 2.70-2.77
S 0.8570 0.8689 0.8300  2 Ho 2.72-2.78, 1 Pb 2.85
S 0.9017 0.8414 0.0704  2 Cu 2.36
S 0.9032 0.5706 0.0846  4 Ho 2.75-2.83
S 0.9474 0.2806 0.3402  1 Cu 2.33
S 0.9639 0.3156 0.1095  3 Ho 2.69-2.79, 1 Pb 2.84
S 0.9688 0.1121 0.4943  1 Cu 2.33

Its energy is -5.6835 eV/atom. Its symmetry is P1. The crystal system is triclinic. The value obtained for the MP2020-corrected energy is -5.96 eV/atom. The formation energy comes out at -1758 meV per atom. The calculation puts the theoretical density at 6.4 g cm⁻³.

***

[3]
HoCuPbSe3 | PBE-GGA | optimized geometry

a b c (Å): 10.6063 4.0579 13.6668
angles (deg): 90.00 90.00 90.00
Closest atoms and distances in Å follow each position.
Atoms (fractional coordinates):
Ho 0.0219 0.2500 0.2444  6 Se 2.84-2.88
Ho 0.4781 0.7500 0.7444  6 Se 2.84-2.88
Ho 0.5219 0.2500 0.2556  6 Se 2.84-2.88
Ho 0.9781 0.7500 0.7556  6 Se 2.84-2.88
Cu 0.2351 0.2500 0.7218  4 Se 2.44-2.52
Cu 0.2649 0.7500 0.2218  4 Se 2.44-2.52
Cu 0.7351 0.2500 0.7782  4 Se 2.44-2.52
Cu 0.7649 0.7500 0.2782  4 Se 2.44-2.52
Pb 0.2235 0.7500 0.5060  7 Se 3.15-3.29
Pb 0.2765 0.2500 0.0060  7 Se 3.15-3.29
Pb 0.7235 0.7500 0.9940  7 Se 3.15-3.29
Pb 0.7765 0.2500 0.4940  7 Se 3.15-3.29
Se 0.0450 0.2500 0.6150  1 Cu 2.49
Se 0.0875 0.7500 0.1077  1 Cu 2.44
Se 0.2314 0.7500 0.8305  2 Cu 2.52
Se 0.2686 0.2500 0.3305  2 Cu 2.52
Se 0.4125 0.2500 0.6077  1 Cu 2.44
Se 0.4550 0.7500 0.1150  1 Cu 2.49
Se 0.5450 0.2500 0.8850  1 Cu 2.49
Se 0.5875 0.7500 0.3923  1 Cu 2.44
Se 0.7314 0.7500 0.6695  2 Cu 2.52
Se 0.7686 0.2500 0.1695  2 Cu 2.52
Se 0.9125 0.2500 0.8923  1 Cu 2.44
Se 0.9550 0.7500 0.3850  1 Cu 2.49

Its energy is -4.8167 eV/atom. Its symmetry is Pnma. The crystal system is orthorhombic. The value obtained for the MP2020-corrected energy is -5.05 eV/atom. The formation energy comes out at -1239 meV per atom. The calculation puts the theoretical density at 7.6 g cm⁻³.

***

[4]
HoCu4Pd | PBE-GGA | optimized geometry

a b c (Å): 4.9784 4.9784 4.9784
angles (deg): 60.00 60.00 60.00
Closest atoms and distances in Å follow each position.
Atoms (fractional coordinates):
Ho 0.0000 0.0000 0.0000  12 Cu 2.92, 4 Pd 3.05
Cu 0.1274 0.6242 0.6242  6 Cu 2.47-2.50
Cu 0.6242 0.1274 0.6242  6 Cu 2.47-2.50
Cu 0.6242 0.6242 0.1274  6 Cu 2.47-2.50
Cu 0.6242 0.6242 0.6242  6 Cu 2.47-2.50
Pd 0.2500 0.2500 0.2500  12 Cu 2.92, 4 Ho 3.05

Its energy is -4.7271 eV/atom. Its symmetry is F-43m. The crystal system is cubic. The formation energy comes out at -367 meV per atom. The calculation puts the theoretical density at 10.0 g cm⁻³.